(1)
Material: Si
Method: DFT, PBE-GGA
State: relaxed

Output
ΔE to the lowest computed polymorph ... 74 meV/atom

Unit cell a=7.2087 b=7.2087 c=6.3609 alpha=83.44 beta=83.44 gamma=31.16
Sites, in units of the cell vectors:
Si 0.9443 0.9443 0.8739
Si 0.0557 0.0557 0.1261
Si 0.4408 0.4408 0.6537
Si 0.5592 0.5592 0.3463
Si 0.7870 0.7870 0.0571
Si 0.2130 0.2130 0.9429
Si 0.2728 0.2728 0.5857
Si 0.7272 0.7272 0.4143



(2)
Material: TiSn2O4
Method: DFT, PBE-GGA
State: relaxed

Unit cell a=8.6194 b=8.6194 c=6.0055 alpha=90.00 beta=90.00 gamma=90.00
Sites, in units of the cell vectors:
Ti 0.0000 0.5000 0.2500
Ti 0.5000 0.0000 0.7500
Ti 0.0000 0.5000 0.7500
Ti 0.5000 0.0000 0.2500
Sn 0.3529 0.3368 0.5000
Sn 0.6471 0.6632 0.5000
Sn 0.6632 0.3529 0.0000
Sn 0.3368 0.6471 0.0000
Sn 0.8368 0.8529 0.0000
Sn 0.8529 0.1632 0.5000
Sn 0.1471 0.8368 0.5000
Sn 0.1632 0.1471 0.0000
O 0.4026 0.8810 0.5000
O 0.5974 0.1190 0.5000
O 0.1190 0.4026 0.0000
O 0.8810 0.5974 0.0000
O 0.3810 0.9026 0.0000
O 0.9026 0.6190 0.5000
O 0.0974 0.3810 0.5000
O 0.6190 0.0974 0.0000
O 0.1630 0.6630 0.7500
O 0.6630 0.8370 0.2500
O 0.3370 0.1630 0.2500
O 0.8370 0.3370 0.7500
O 0.1630 0.6630 0.2500
O 0.6630 0.8370 0.7500
O 0.3370 0.1630 0.7500
O 0.8370 0.3370 0.2500



(3)
Material: InCu3N3
Method: DFT, PBE-GGA
State: relaxed

Unit cell a=4.3366 b=4.3366 c=4.3366 alpha=90.00 beta=90.00 gamma=90.00
Sites, in units of the cell vectors:
In 0.5000 0.5000 0.5000
Cu 0.0000 0.5000 0.0000
Cu 0.0000 0.0000 0.5000
Cu 0.5000 0.0000 0.0000
N 0.5000 0.0000 0.5000
N 0.5000 0.5000 0.0000
N 0.0000 0.5000 0.5000



(4)
Material: SmAsPd
Method: DFT, PBE-GGA
State: relaxed

Unit cell a=4.3752 b=4.3752 c=7.6549 alpha=90.00 beta=90.00 gamma=120.00
Sites, in units of the cell vectors:
Sm 0.0000 0.0000 0.4997
Sm 0.0000 0.0000 0.9997
As 0.6667 0.3333 0.2694
As 0.3333 0.6667 0.7694
Pd 0.3333 0.6667 0.2303
Pd 0.6667 0.3333 0.7303



(5)
Material: Te2MoWS2
Method: DFT, PBE-GGA
State: relaxed

Output
ΔE to the lowest computed polymorph ... 72 meV/atom

Unit cell a=3.3646 b=3.3646 c=38.3148 alpha=90.00 beta=90.00 gamma=120.00
Sites, in units of the cell vectors:
Te 0.3333 0.6667 0.3314
Te 0.6667 0.3333 0.6686
Te 0.6667 0.3333 0.7678
Te 0.3333 0.6667 0.2322
Mo 0.3333 0.6667 0.0939
Mo 0.6667 0.3333 0.9061
W 0.3333 0.6667 0.7182
W 0.6667 0.3333 0.2818
S 0.3333 0.6667 0.9456
S 0.6667 0.3333 0.0544
S 0.6667 0.3333 0.1335
S 0.3333 0.6667 0.8666



(6)
Material: P4S9
Method: DFT, PBE-GGA
State: relaxed

Unit cell a=16.3131 b=16.3131 c=16.3131 alpha=109.47 beta=109.47 gamma=109.47
Sites, in units of the cell vectors:
P 0.7553 0.3966 0.8536
P 0.8536 0.7553 0.3966
P 0.1412 0.5429 0.8966
P 0.2447 0.6034 0.1464
P 0.0429 0.9017 0.6464
P 0.6626 0.5000 0.0000
P 0.8588 0.4571 0.1034
P 0.9017 0.6464 0.0429
P 0.0000 0.6626 0.5000
P 0.0000 0.3374 0.5000
P 0.6412 0.7447 0.5983
P 0.1626 0.1626 0.1626
P 0.1034 0.8588 0.4571
P 0.6034 0.1464 0.2447
P 0.3374 0.5000 0.0000
P 0.6464 0.0429 0.9017
P 0.4017 0.3588 0.2553
P 0.3966 0.8536 0.7553
P 0.3588 0.2553 0.4017
P 0.7447 0.5983 0.6412
P 0.8374 0.8374 0.8374
P 0.5429 0.8966 0.1412
P 0.2553 0.4017 0.3588
P 0.3536 0.9571 0.0983
P 0.4571 0.1034 0.8588
P 0.5000 0.0000 0.6626
P 0.1464 0.2447 0.6034
P 0.8966 0.1412 0.5429
P 0.5000 0.0000 0.3374
P 0.9571 0.0983 0.3536
P 0.5983 0.6412 0.7447
P 0.0983 0.3536 0.9571
S 0.7221 0.7217 0.3034
S 0.5813 0.8034 0.0817
S 0.1456 0.9648 0.6028
S 0.4648 0.3192 0.3620
S 0.3034 0.7221 0.7217
S 0.2275 0.3546 0.9565
S 0.8546 0.6272 0.3982
S 0.7710 0.8728 0.7275
S 0.8982 0.2710 0.5435
S 0.8972 0.8620 0.5428
S 0.9187 0.0004 0.2221
S 0.9572 0.8192 0.3544
S 0.8728 0.7275 0.7710
S 0.3982 0.8546 0.6272
S 0.2779 0.2783 0.6966
S 0.2217 0.4996 0.4183
S 0.6272 0.3982 0.8546
S 0.2710 0.5435 0.8982
S 0.8544 0.0352 0.3972
S 0.8034 0.0817 0.5813
S 0.3544 0.9572 0.8192
S 0.7275 0.7710 0.8728
S 0.1018 0.7290 0.4565
S 0.0813 0.9996 0.7779
S 0.0817 0.5813 0.8034
S 0.8620 0.5428 0.8972
S 0.7217 0.3034 0.7221
S 0.2290 0.1272 0.2725
S 0.6380 0.5352 0.6808
S 0.5428 0.8972 0.8620
S 0.1380 0.4572 0.1028
S 0.5352 0.6808 0.6380
S 0.1808 0.6456 0.0428
S 0.6966 0.2779 0.2783
S 0.1454 0.3728 0.6018
S 0.7725 0.6454 0.0435
S 0.8192 0.3544 0.9572
S 0.5817 0.7783 0.5004
S 0.6018 0.1454 0.3728
S 0.2221 0.9187 0.0004
S 0.0352 0.3972 0.8544
S 0.1966 0.9183 0.4187
S 0.6456 0.0428 0.1808
S 0.9565 0.2275 0.3546
S 0.5004 0.5817 0.7783
S 0.2725 0.2290 0.1272
S 0.4996 0.4183 0.2217
S 0.3728 0.6018 0.1454
S 0.3546 0.9565 0.2275
S 0.1272 0.2725 0.2290
S 0.9996 0.7779 0.0813
S 0.7290 0.4565 0.1018
S 0.4187 0.1966 0.9183
S 0.4183 0.2217 0.4996
S 0.6028 0.1456 0.9648
S 0.6808 0.6380 0.5352
S 0.3972 0.8544 0.0352
S 0.3620 0.4648 0.3192
S 0.9648 0.6028 0.1456
S 0.1028 0.1380 0.4572
S 0.6454 0.0435 0.7725
S 0.4565 0.1018 0.7290
S 0.2783 0.6966 0.2779
S 0.0004 0.2221 0.9187
S 0.5435 0.8982 0.2710
S 0.7783 0.5004 0.5817
S 0.7779 0.0813 0.9996
S 0.0428 0.1808 0.6456
S 0.3192 0.3620 0.4648
S 0.0435 0.7725 0.6454
S 0.9183 0.4187 0.1966
S 0.4572 0.1028 0.1380



(7)
Material: HoCu4Ag
Method: DFT, PBE-GGA
State: relaxed

Unit cell a=5.0475 b=5.0475 c=5.0475 alpha=60.00 beta=60.00 gamma=60.00
Sites, in units of the cell vectors:
Ho 0.2500 0.2500 0.2500
Cu 0.6259 0.6259 0.6259
Cu 0.6259 0.6259 0.1223
Cu 0.6259 0.1223 0.6259
Cu 0.1223 0.6259 0.6259
Ag 0.0000 0.0000 0.0000



(8)
Material: CoCl2
Method: DFT, PBE-GGA
State: relaxed

Unit cell a=3.5277 b=3.5277 c=16.5929 alpha=90.00 beta=90.00 gamma=120.00
Sites, in units of the cell vectors:
Co 0.0000 0.0000 0.0000
Cl 0.6667 0.3333 0.9195
Cl 0.3333 0.6667 0.0805



(9)
Material: W3C
Method: DFT, PBE-GGA
State: relaxed

Unit cell a=5.1749 b=5.1749 c=5.1749 alpha=140.13 beta=140.13 gamma=57.65
Sites, in units of the cell vectors:
W 0.7500 0.2500 0.5000
W 0.2500 0.7500 0.5000
W 0.5000 0.5000 0.0000
C 0.0000 0.0000 0.0000



(10)
Material: Ho2NiGe6
Method: DFT, PBE-GGA
State: relaxed

Unit cell a=10.9022 b=10.9022 c=4.0549 alpha=90.00 beta=90.00 gamma=158.92
Sites, in units of the cell vectors:
Ho 0.6612 0.3388 0.0000
Ho 0.9974 0.0026 0.0000
Ni 0.2185 0.7815 0.5000
Ge 0.2756 0.7244 0.0000
Ge 0.7764 0.2236 0.5000
Ge 0.8938 0.1062 0.5000
Ge 0.3924 0.6076 0.0000
Ge 0.5357 0.4643 0.5000
Ge 0.1111 0.8889 0.5000



(11)
Material: K3Hf
Method: DFT, PBE-GGA
State: relaxed

Output
ΔE to the lowest computed polymorph ... 15 meV/atom

Unit cell a=7.4219 b=7.4219 c=7.4219 alpha=134.35 beta=134.35 gamma=66.54
Sites, in units of the cell vectors:
K 0.7500 0.2500 0.5000
K 0.2500 0.7500 0.5000
K 0.5000 0.5000 0.0000
Hf 0.0000 0.0000 0.0000



(12)
Material: LiAlSiH2O5
Method: DFT, PBE-GGA
State: relaxed

Output
ΔE to the lowest computed polymorph ... 130 meV/atom

Unit cell a=4.9865 b=8.4273 c=11.9098 alpha=90.00 beta=90.00 gamma=90.00
Sites, in units of the cell vectors:
Li 0.9303 0.9696 0.3864
Li 0.9303 0.5304 0.8864
Li 0.4303 0.0304 0.6136
Li 0.4303 0.4696 0.1136
Al 0.4472 0.6908 0.7357
Al 0.9472 0.1908 0.7643
Al 0.4472 0.8092 0.2357
Al 0.9472 0.3092 0.2643
Si 0.8576 0.6641 0.2863
Si 0.3576 0.3359 0.7137
Si 0.3576 0.1641 0.2137
Si 0.8576 0.8359 0.7863
H 0.2319 0.7962 0.4994
H 0.4651 0.1551 0.4372
H 0.9651 0.8449 0.5628
H 0.7319 0.2962 0.0006
H 0.7319 0.2038 0.5006
H 0.4651 0.3449 0.9372
H 0.9651 0.6551 0.0628
H 0.2319 0.7038 0.9994
O 0.6536 0.7186 0.8596
O 0.1593 0.3440 0.8296
O 0.6593 0.6560 0.1704
O 0.6536 0.7814 0.3596
O 0.1273 0.6127 0.0245
O 0.6153 0.2779 0.2332
O 0.1153 0.7779 0.2668
O 0.1536 0.2186 0.6404
O 0.4523 0.5070 0.6692
O 0.1536 0.2814 0.1404
O 0.4523 0.9930 0.1692
O 0.1153 0.7221 0.7668
O 0.9523 0.0070 0.8308
O 0.6273 0.1127 0.4755
O 0.6593 0.8440 0.6704
O 0.6153 0.2221 0.7332
O 0.1593 0.1560 0.3296
O 0.1273 0.8873 0.5245
O 0.6273 0.3873 0.9755
O 0.9523 0.4930 0.3308



(13)
Material: Ba2ThS6
Method: DFT, PBE-GGA
State: relaxed

Unit cell a=5.5494 b=5.5494 c=16.1887 alpha=90.00 beta=90.00 gamma=90.00
Sites, in units of the cell vectors:
Ba 0.0000 0.0000 0.1366
Ba 0.5000 0.5000 0.6366
Ba 0.5000 0.5000 0.3634
Ba 0.0000 0.0000 0.8634
Th 0.0000 0.0000 0.5000
Th 0.5000 0.5000 0.0000
S 0.3115 0.5000 0.1675
S 0.6885 0.5000 0.1675
S 0.0000 0.8115 0.6675
S 0.0000 0.1885 0.6675
S 0.1885 0.0000 0.3325
S 0.8115 0.0000 0.3325
S 0.5000 0.6885 0.8325
S 0.5000 0.3115 0.8325
S 0.0000 0.5000 0.9737
S 0.0000 0.5000 0.4737
S 0.5000 0.0000 0.5263
S 0.5000 0.0000 0.0263



(14)
Material: Cs2KBiF6
Method: DFT, PBE-GGA
State: relaxed

Unit cell a=6.9070 b=6.9070 c=6.9070 alpha=60.00 beta=60.00 gamma=60.00
Sites, in units of the cell vectors:
Cs 0.2500 0.2500 0.2500
Cs 0.7500 0.7500 0.7500
K 0.5000 0.5000 0.5000
Bi 0.0000 0.0000 0.0000
F 0.7665 0.7665 0.2335
F 0.2335 0.7665 0.7665
F 0.2335 0.2335 0.7665
F 0.7665 0.2335 0.7665
F 0.2335 0.7665 0.2335
F 0.7665 0.2335 0.2335



(15)
Material: Ca5Bi3
Method: DFT, PBE-GGA
State: relaxed

Unit cell a=8.4820 b=9.7817 c=12.8413 alpha=90.00 beta=90.00 gamma=90.00
Sites, in units of the cell vectors:
Ca 0.3068 0.9564 0.0761
Ca 0.8068 0.0436 0.4239
Ca 0.6932 0.4564 0.9239
Ca 0.1932 0.5436 0.5761
Ca 0.6932 0.0436 0.9239
Ca 0.1932 0.9564 0.5761
Ca 0.3068 0.5436 0.0761
Ca 0.8068 0.4564 0.4239
Ca 0.6801 0.7500 0.2289
Ca 0.1801 0.2500 0.2711
Ca 0.3199 0.2500 0.7711
Ca 0.8199 0.7500 0.7289
Ca 0.1507 0.7500 0.2908
Ca 0.6507 0.2500 0.2092
Ca 0.8493 0.2500 0.7092
Ca 0.3493 0.7500 0.7908
Ca 0.5351 0.7500 0.5054
Ca 0.0351 0.2500 0.9946
Ca 0.4649 0.2500 0.4946
Ca 0.9649 0.7500 0.0054
Bi 0.9351 0.0129 0.1709
Bi 0.4351 0.9871 0.3291
Bi 0.0649 0.5129 0.8291
Bi 0.5649 0.4871 0.6709
Bi 0.0649 0.9871 0.8291
Bi 0.5649 0.0129 0.6709
Bi 0.9351 0.4871 0.1709
Bi 0.4351 0.5129 0.3291
Bi 0.5787 0.7500 0.9838
Bi 0.0787 0.2500 0.5162
Bi 0.4213 0.2500 0.0162
Bi 0.9213 0.7500 0.4838



(16)
Material: Ag3P2O8
Method: DFT, PBE-GGA
State: relaxed

Unit cell a=5.8778 b=5.8778 c=5.8778 alpha=86.52 beta=86.52 gamma=86.52
Sites, in units of the cell vectors:
Ag 0.9906 0.5163 0.2581
Ag 0.5163 0.2581 0.9906
Ag 0.2581 0.9906 0.5163
P 0.0138 0.0138 0.0138
P 0.4862 0.4862 0.4862
O 0.8744 0.8744 0.8744
O 0.8611 0.2111 0.1276
O 0.6322 0.6315 0.3140
O 0.6315 0.3140 0.6322
O 0.3140 0.6322 0.6315
O 0.3331 0.3331 0.3331
O 0.1276 0.8611 0.2111
O 0.2111 0.1276 0.8611



no.,energy of formation (eV per atom),VASP energy (eV for the cell shown)
1,0.074,-42.8
2,-2.432,-199.9
3,0.579,-34.9
4,-1.181,-36.2
5,-0.561,-81.4
6,-0.516,-488.5
7,-0.241,-25.3
8,-0.981,-12.5
9,1.270,-43.0
10,-0.500,-47.2
11,1.143,-8.7
12,-2.488,-256.2
13,-1.984,-101.8
14,-2.937,-44.9
15,-0.838,-113.6
16,-1.609,-74.3